No. 1
Computed, not measured: crystalline Sm2MgAl at its relaxed geometry at the PBE level of DFT.

Values from the calculation:
- formation energy from the elements (meV/atom) = -264
- SG = Fm-3m, No. 225

extended XYZ file:
```
4
Lattice="0.0000 3.7518 3.7518 3.7518 0.0000 3.7518 3.7518 3.7518 0.0000" Properties=species:S:1:pos:R:3 pbc="T T T"
Mg 0.0000 0.0000 0.0000
Sm 1.8759 1.8759 1.8759
Sm 5.6277 5.6277 5.6277
Al 3.7518 3.7518 3.7518
```

No. 2
Computed, not measured: crystalline Na4ZrInSi2PO12 at its relaxed geometry at the PBE level of DFT.

Values from the calculation:
- formation energy from the elements (meV/atom) = -2815
- total energy after the MP2020 corrections (eV per cell) = -908.1

extended XYZ file:
```
126
Lattice="9.2672 0.0280 -0.0214 -4.6093 8.0397 0.0214 -0.0547 0.0316 22.6295" Properties=species:S:1:pos:R:3 pbc="T T T"
Na 1.7476 2.9862 5.5112
Na 5.9232 0.0967 5.6667
Na -1.1927 2.8203 1.8677
Na 2.9182 5.0770 16.8260
Na 4.5917 2.6268 18.7581
Na 4.7062 2.7621 7.4433
Na 1.5574 2.3477 20.7186
Na 1.2794 2.7778 13.2241
Na 2.9193 5.5551 1.9094
Na 7.5084 2.9056 16.9815
Na 0.0281 0.0845 22.5368
Na 6.3366 0.3367 20.5833
Na 1.5918 7.7063 13.1825
Na 3.4308 5.5294 9.4038
Na 4.6261 7.9854 11.2221
Na 2.8849 0.1965 9.4454
Na 3.3964 0.1707 16.9398
Na 0.0026 5.2763 3.6860
Na 0.0625 5.4431 15.0008
Na 7.5620 2.3959 9.2686
Na -2.8962 5.6673 13.0686
Na 6.2355 5.0253 5.6251
Na -1.6709 7.7265 1.7539
Na 5.9029 5.4869 20.7602
O 6.5182 2.9772 14.4851
O -0.6776 3.8968 5.7426
O -0.7168 3.5691 22.1045
O 3.9459 6.6060 13.2787
O 5.7061 1.2405 0.6632
O 0.8241 6.9369 1.7597
O 1.8947 0.2681 6.9490
O -2.8235 7.8522 4.4634
O 0.7897 1.5782 9.2957
O 3.4757 4.2486 14.5772
O -1.7280 5.6241 17.0892
O 3.5397 4.0869 20.8466
O 0.5903 3.9129 17.0643
O 1.5918 5.5843 5.7495
O 1.0623 3.9216 8.2207
O 3.5617 6.6326 4.3770
O 5.5599 1.4187 16.8812
O 0.7222 3.5995 10.7278
O 5.3457 6.3086 18.2638
O 7.5595 0.2619 1.9744
O -0.7103 7.0544 19.4762
O -1.1164 3.9551 19.4705
O 3.9614 6.2467 7.0110
O -0.7869 6.8072 13.1534
O 2.8443 7.8490 15.6975
O 3.9335 4.3733 11.9187
O -0.8213 1.4485 20.6894
O 3.9270 0.8881 14.5470
O 2.9157 2.9430 9.5318
O 1.7656 5.2027 19.5355
O 6.1809 2.9348 20.8216
O -3.5814 6.6026 15.7781
O -1.1681 6.9297 22.1346
O 6.2366 2.5276 5.5665
O 2.7436 2.9176 3.2624
O 1.2015 1.5295 18.3258
O 5.2685 6.5904 1.9708
O 0.9708 4.0682 1.8091
O 1.8744 5.6583 22.0425
O -0.9649 3.9014 13.0745
O 3.6789 1.2203 5.5170
O 0.6674 1.6827 15.6918
O 5.2341 1.2318 9.5068
O -1.7792 5.1399 8.1614
O -3.6729 6.7493 9.3666
O 6.4093 2.5216 11.9780
O -0.6900 1.6642 4.3827
O 5.4132 4.2873 16.8318
O 3.0201 8.0390 9.3746
O 8.1194 1.5676 7.0197
O 2.8646 2.4588 0.6040
O 5.8796 4.2071 3.2323
O -1.6034 5.3299 1.8386
O 3.6586 6.6105 20.6105
O -1.9001 5.5987 10.8199
O 7.3327 0.2681 18.3345
O 5.3456 4.3602 0.5983
O 1.2359 6.8881 10.7897
O 3.5273 1.2740 11.9130
O 8.1835 1.4059 13.2891
O 3.9115 1.2473 20.8147
O 5.5608 4.0408 9.4999
O -1.0494 6.7364 5.7745
O 0.9373 1.3317 1.9639
O -3.0509 7.8897 20.6813
O 0.7018 7.0413 8.1557
O 3.8568 4.1261 5.5959
O 0.9170 6.7219 17.0574
O 1.5928 5.2087 13.1239
O 5.3660 0.9184 3.1703
O 2.9857 2.6803 16.9107
O 1.5574 0.2257 13.2856
P 7.3486 2.7234 13.2101
P 6.0010 0.3261 1.8953
P 1.3572 3.0072 9.4528
P -3.2865 5.6883 17.0102
P -1.8842 8.0540 5.6954
P 2.7049 5.4045 20.7675
Si 3.2100 0.2866 13.2090
Si 3.2293 5.1142 13.2175
Si 1.3982 7.8098 9.4517
Si 6.4599 0.0487 16.9749
Si 1.3638 2.4511 16.9877
Si 1.8708 2.6982 1.9028
Si 6.0420 5.1287 1.8942
Si -2.7729 5.3793 9.4602
Si 3.2444 5.6453 5.6730
Si 7.8730 2.4332 5.6601
Si -1.4145 7.7953 20.7750
Si -1.4338 2.9677 20.7665
Zr -0.0166 5.3868 7.1420
Zr -0.0428 5.4045 18.4568
Zr 4.6009 2.7234 10.8993
Zr 9.2447 0.0424 3.3419
Zr 4.5725 2.7373 22.2141
Zr 9.2162 0.0562 14.6566
In -0.0245 5.3263 0.3393
In 4.6493 2.7605 4.0966
In -0.0288 0.0829 19.1901
In 0.0056 5.4416 11.6540
In 4.5646 2.6768 15.4114
In 4.5990 8.0355 7.8753
```

No. 3
Computed, not measured: crystalline BaSn32Se32 at its relaxed geometry at the PBE level of DFT.

Values from the calculation:
- formation energy from the elements (meV/atom) = -671
- SG = Cm, No. 8
- total energy after the MP2020 corrections (eV per cell) = -285.7

extended XYZ file:
```
65
Lattice="-8.8833 -7.2037 -4.9941 2.2439 -9.6643 7.5706 -7.9532 4.2374 7.8732" Properties=species:S:1:pos:R:3 pbc="T T T"
Sn -10.1469 -5.8675 4.6671
Sn -11.4278 -10.1338 5.3025
Sn -7.0012 -11.2382 0.4086
Sn -6.9437 -3.6535 11.2194
Sn -6.1910 -11.1150 3.3060
Sn -2.6261 -7.5580 3.7968
Sn -13.0232 -11.5157 9.2781
Sn -8.0509 1.1795 7.3608
Sn -8.1053 -3.3009 0.6578
Sn -4.2652 -7.2036 11.0367
Sn -3.7710 -2.7139 0.0262
Sn 0.0185 -8.1773 6.9458
Sn -5.2419 -4.0275 3.8534
Sn -14.2280 -6.7042 5.2443
Sn -8.3034 -6.3370 -2.4511
Sn -3.5117 -12.0098 4.3489
Sn -7.0665 -6.5487 8.1454
Sn -8.2298 -1.8359 4.1036
Sn -12.6906 -5.3405 1.5228
Sn -11.3364 -7.2543 8.6189
Sn -8.3555 -8.0028 11.8755
Sn -12.5659 -2.4102 4.8708
Sn -8.7770 -12.7726 5.2716
Sn -4.3249 -9.0312 7.6419
Sn -9.7080 -3.1275 7.9849
Sn -9.7478 -7.8320 1.5184
Sn -3.6584 0.1484 3.2689
Sn -8.6744 -10.7427 8.4116
Sn -2.3973 -4.5631 7.1032
Sn -5.4941 -6.9238 0.5583
Sn -1.0676 -3.3117 3.0788
Sn -5.4844 -2.4430 7.2036
Se -9.6564 -8.5924 6.8689
Se -7.7347 -8.4502 -0.2928
Se -4.7780 -8.6994 2.5277
Se -12.4307 -8.1002 3.6536
Se -1.7858 -6.8925 8.6662
Se -6.8248 -9.3399 9.9837
Se -3.2731 -4.6708 1.9839
Se -1.6897 -0.4663 1.4051
Se -6.0385 -4.0318 -1.1049
Se -6.2211 -6.5102 12.9694
Se -12.0050 -5.3744 6.5705
Se -13.5405 -9.5536 7.2831
Se -9.0813 -6.0210 9.8719
Se -6.2648 -10.5583 6.3018
Se -7.1144 -5.5033 2.3283
Se -0.5353 -5.2487 5.1092
Se -2.7444 -2.0109 4.8840
Se -7.4422 -1.8173 9.1086
Se -9.0065 -9.9520 3.2058
Se -10.8932 -3.7747 3.0678
Se -10.2348 -1.1997 5.9552
Se -2.4018 -9.6295 5.7291
Se -6.4037 -0.2867 5.6149
Se -14.7095 -4.6331 3.3844
Se -10.7831 -10.1633 10.3966
Se -8.0435 -4.5501 6.2322
Se -9.9823 -5.0799 -0.5891
Se -6.8531 -13.8268 3.3613
Se -5.5114 -1.3990 1.7596
Se -11.2670 -12.8994 7.4519
Se -4.3016 -6.1253 5.5044
Se -5.2181 -5.0297 9.4761
Ba -7.0916 -7.7386 4.7649
```

No. 4
Computed, not measured: crystalline KAgPSe3 at its relaxed geometry at the PBE level of DFT.

Values from the calculation:
- formation energy from the elements (meV/atom) = -725
- SG = P2_1/c, No. 14
- total energy after the MP2020 corrections (eV per cell) = -290.4

extended XYZ file:
```
72
Lattice="11.4199 0.0000 0.0000 0.0000 8.6597 0.0000 0.0000 1.1872 21.2888" Properties=species:S:1:pos:R:3 pbc="T T T"
P 4.8467 1.7688 20.7436
P 0.8371 6.5803 4.8988
P 0.8633 1.1752 10.0992
P 10.5828 3.2666 16.3900
P 5.2310 5.9217 13.6215
P 6.1889 3.9252 7.6673
P 4.8728 7.1739 15.5432
P 0.4790 5.3281 2.9771
P 6.5471 2.6730 5.7456
P 10.9409 4.5188 18.3117
P 6.5732 8.0781 0.5452
P 10.5566 8.6717 11.1896
Se 0.8632 6.6909 1.2656
Se 9.1841 7.8450 9.6217
Se 8.5283 2.4229 16.4518
Se 5.5868 6.4207 1.6443
Se 5.8331 3.4262 19.6446
Se 9.5182 1.4428 12.4986
Se 1.6145 5.2009 18.1691
Se 2.8183 8.0175 15.4814
Se 7.6117 0.8493 1.8542
Se 0.6217 5.1544 6.6166
Se 3.4742 1.4083 1.0227
Se 2.0118 3.7186 3.1080
Se 6.3316 4.0989 4.0278
Se 8.6016 1.8293 5.8074
Se 10.7982 4.6925 14.6722
Se 4.8467 7.2845 11.9100
Se 6.3967 8.7738 15.6566
Se 11.2967 2.8326 9.0002
Se 2.8916 7.4239 4.8370
Se 5.0883 5.7480 17.2611
Se 0.6867 1.6667 16.2767
Se 7.7218 5.5347 7.5364
Se 10.5567 3.1560 20.0232
Se 7.9458 8.4386 20.2661
Se 10.7332 8.1802 5.0122
Se 9.4081 6.1283 18.1808
Se 3.8082 8.9976 19.4346
Se 3.6981 4.3122 13.7525
Se 6.5732 2.5624 9.3788
Se 1.9017 8.4040 8.7902
Se 9.8054 4.6460 3.1197
Se 2.2358 2.0019 11.6671
Se 5.0232 1.0731 5.6322
Se 7.3244 5.2396 13.7641
Se 4.0955 4.6073 7.5247
Se 0.1232 7.0143 12.2887
Ag 5.2742 1.7330 2.9014
Ag 3.2067 7.6443 2.1861
Ag 7.5036 4.9070 16.5621
Ag 1.7936 5.5335 15.3712
Ag 3.9163 4.9399 4.7268
Ag 9.6263 4.3134 5.9177
Ag 0.4357 2.3266 13.5458
Ag 8.2132 2.2026 19.1027
Ag 10.9842 7.5203 7.7430
Ag 6.1457 8.1139 18.3874
Ag 2.5033 8.2379 12.8305
Ag 8.9166 1.6090 8.4583
K 7.4898 7.2828 4.4604
K 11.1327 1.3007 2.1306
K 2.3746 5.1886 10.4472
K 3.9301 2.5641 16.8284
K 8.0846 4.0647 0.1972
K 5.9971 1.8943 12.7750
K 3.3353 5.7822 21.0916
K 0.2872 8.5462 19.1583
K 9.6400 7.8764 15.1048
K 5.4228 7.9526 8.5139
K 9.0453 4.6583 10.8416
K 1.7799 1.9705 6.1840
```

No. 5
Computed, not measured: crystalline NaSb at its relaxed geometry at the PBE level of DFT.

Values from the calculation:
- formation energy from the elements (meV/atom) = -419
- SG = P2_1/c, No. 14
- total energy after the MP2020 corrections (eV per cell) = -50.3

extended XYZ file:
```
16
Lattice="-2.8166 5.0466 2.7772 -5.1053 -4.0112 2.1112 1.2245 -5.5089 11.2525" Properties=species:S:1:pos:R:3 pbc="T T T"
Sb -3.9523 -2.6079 3.1158
Sb -0.9795 -4.6173 8.8264
Sb -4.2412 -4.1595 12.0885
Sb -3.8408 -4.4653 9.2358
Sb -2.7451 -1.8656 13.0251
Sb -2.4562 -0.3140 4.0524
Sb -5.7179 0.1438 7.3146
Sb -2.8566 -0.0082 6.9052
Na -5.7330 0.0429 3.9225
Na -1.0864 -2.6403 6.1088
Na -2.0361 -1.6071 9.7293
Na -3.4967 2.6672 4.9395
Na -5.6110 -1.8332 10.0321
Na -3.2007 -7.1407 11.2015
Na -0.9644 -4.5164 12.2184
Na -4.6613 -2.8664 6.4116
```

No. 6
Computed, not measured: crystalline K2InP2Se8 at its relaxed geometry at the PBE level of DFT.

Values from the calculation:
- formation energy from the elements (meV/atom) = -811
- SG = Cc, No. 9
- total energy after the MP2020 corrections (eV per cell) = -217.2

extended XYZ file:
```
52
Lattice="-3.2829 -7.8909 9.6955 11.5397 1.1254 -5.7109 6.2673 6.1568 9.6330" Properties=species:S:1:pos:R:3 pbc="T T T"
Se 8.8903 -4.7765 5.9744
Se 6.4161 -2.4343 4.8623
Se 7.1810 -0.1281 7.0698
Se 8.4962 0.1649 -0.8318
Se 10.5164 3.9177 7.4282
Se 3.6047 0.0065 3.9352
Se 8.8007 0.8195 5.6117
Se 6.4771 -0.5298 1.7277
Se 3.9076 -1.4540 12.0112
Se 7.1314 3.3240 8.3432
Se 5.6710 -6.4474 5.0743
Se 11.6818 -1.6189 6.9004
Se 2.8376 -3.9800 3.7361
Se 4.5330 -1.5067 15.6814
Se 4.2474 -3.0848 2.0453
Se 2.3869 -5.7552 6.9997
Se 12.2075 -1.5864 10.6002
Se 5.9441 3.0487 4.3389
Se 0.1261 -1.6625 2.3125
Se 12.3681 1.4884 4.6991
Se 13.1820 4.5692 2.7815
Se 9.6753 3.7367 3.4010
Se -0.6199 -4.9984 9.0534
Se 13.4586 1.7270 8.6709
Se -0.3255 -3.5188 5.7221
Se 11.7510 1.7116 0.1054
Se 5.8384 -4.0804 8.5177
Se 3.1558 -1.7318 7.0051
Se 6.0528 0.3843 10.2423
Se 1.6807 -2.5908 8.6483
Se 9.6465 0.7029 9.5784
Se 12.0658 4.8985 5.9278
K 7.4900 -4.7922 2.5041
K 4.2472 1.7201 7.1675
K 15.1872 3.4627 6.1597
K 3.1639 -5.0230 10.5830
K 7.0969 -0.7515 13.3557
K 2.8735 -0.2878 0.5217
K 9.8743 -0.2343 2.3954
K 9.0138 -2.6930 8.9939
In 11.1301 1.0926 7.2327
In 8.2334 3.6191 5.7916
In 1.4960 -1.6514 4.7208
In 4.5053 -4.1094 6.0448
P 1.5362 -2.9350 14.3418
P 3.0794 -1.2738 13.9917
P 11.7793 3.5405 4.1063
P 7.5759 1.2028 8.9008
P 5.2126 -1.4070 3.2836
P 0.7569 -4.3364 7.4892
P 10.7729 1.5112 -3.3323
P 9.9348 1.7238 -1.2073
```

No. 7
Computed, not measured: crystalline K7Be12P12O48 at its relaxed geometry at the PBE level of DFT.

Values from the calculation:
- formation energy from the elements (meV/atom) = -2763
- SG = I23, No. 197
- total energy after the MP2020 corrections (eV per cell) = -573.4

extended XYZ file:
```
79
Lattice="0.1708 -7.7898 -8.7394 4.6308 -4.8183 9.6139 -11.0548 3.1892 2.1700" Properties=species:S:1:pos:R:3 pbc="T T T"
O -3.0865 -2.4684 3.7878
O -7.3826 -0.8622 1.9090
O 1.0757 -2.5993 6.5390
O -1.4119 -4.2118 2.6990
O -3.9273 -5.9106 -4.6837
O 2.0439 -6.8943 4.5372
O -0.8966 -3.1459 5.1063
O -5.4211 -3.4322 3.5354
O -6.1992 -4.0944 0.5604
O -5.7272 -0.1708 6.5538
O -8.5150 -5.0098 0.7183
O 0.2363 -8.7921 -0.2963
O -5.5896 -4.0862 -5.2765
O -3.3918 -6.4859 6.6744
O -2.2429 -4.6698 -0.4246
O -2.8398 -4.9615 4.7778
O -6.1331 -6.5164 -5.6880
O -8.0024 -1.2232 6.8482
O -2.1363 -9.6564 -0.5556
O 2.8579 -9.2472 4.3306
O -0.1774 -5.8207 -1.6918
O -5.2062 -5.0524 5.6627
O -8.4171 -1.4527 -0.2834
O -3.4352 -3.9772 7.0588
O -6.0747 -5.5823 -3.3396
O 0.9898 -4.8833 3.1142
O -1.2528 -8.9570 1.7030
O -7.0851 0.6847 -0.0631
O -7.8078 -3.8095 -1.4036
O -6.8674 -6.0635 -0.8774
O -1.5565 -6.5422 -3.6969
O -1.7766 -7.2351 -0.0724
O -2.7974 -4.3012 -2.8634
O -4.2475 -5.8042 -1.3922
O 0.8553 -5.8487 -3.9665
O 1.1200 -8.4074 2.6980
O -6.0474 -2.5821 5.9983
O 0.2546 -8.0459 -2.8699
O -0.8671 -6.6330 2.9864
O 3.4652 -7.5694 2.5454
O -4.2402 -3.2827 -1.1009
O -4.9371 -0.9747 3.0330
O -4.1066 -2.8089 1.5044
O 0.7151 -4.9831 5.7920
O -7.1442 -0.7928 4.5418
O -0.0742 -5.3964 0.9164
O -0.7946 -3.9928 7.5142
O -5.8754 -1.5010 -0.0310
Be -6.0643 -3.8653 4.9612
Be -0.5012 -8.2134 2.9357
Be -5.1045 -2.9057 0.2267
Be -6.4566 -0.3408 3.1428
Be -2.2641 -3.4906 8.0717
Be 1.0696 -8.8584 -1.6874
Be -2.5214 -5.3079 -4.1412
Be -8.6049 -2.4114 -1.6131
Be -5.6730 -6.3553 -1.9383
Be -1.0552 -5.7732 -0.3275
Be -2.0480 -3.6840 4.0970
Be 1.7042 -5.3073 4.5398
P -3.3844 -4.5178 -1.4490
P -4.3924 -2.4207 2.9684
P -6.7290 -1.1939 5.9804
P -7.3468 -4.7389 -0.2518
P -7.1887 -0.7877 0.3806
P 0.0194 -3.6803 6.2368
P -5.4273 -5.5243 -4.7430
P -0.1561 -6.5659 -3.0509
P -0.3387 -5.2854 2.4319
P -3.7142 -5.1155 6.0442
P 2.3677 -8.0258 3.5284
P -1.2290 -8.6573 0.1913
K 0.0659 -3.0081 -3.3748
K 2.4008 -6.3041 0.4373
K -5.4420 -2.3003 -3.2847
K -3.2120 -0.8145 5.8920
K -4.2688 1.2315 0.8380
K 1.7882 -1.8606 3.7125
K -3.8385 -5.7818 1.8689
```